No. 1
NbAlCo2 | GGA-PBE | relaxed

Cell lengths 5.973, 5.973, 5.973 Å; angles 90.00, 90.00, 90.00 degrees
Space group Fm-3m (No. 225)
Inequivalent atoms, fractional coordinates:
Nb 0.000 0.000 0.000 x4
Al 0.000 0.000 0.500 x4
Co 0.250 0.250 0.250 x8

Calculated values
Its total energy is -7.4447 eV per atom.

No. 2
NdAl8Co2 | GGA-PBE | relaxed

Cell lengths 12.491, 14.393, 4.003 Å; angles 90.00, 90.00, 90.00 degrees
Space group Pbam (No. 55)
Inequivalent atoms, fractional coordinates:
Nd 0.160 0.181 0.000 x4
Al 0.000 0.000 0.000 x2
Al 0.000 0.500 0.500 x2
Al 0.026 0.868 0.500 x4
Al 0.047 0.320 0.500 x4
Al 0.096 0.747 0.000 x4
Al 0.159 0.621 0.500 x4
Al 0.160 0.456 0.000 x4
Al 0.169 0.008 0.500 x4
Al 0.236 0.827 0.500 x4
Co 0.034 0.594 0.000 x4
Co 0.152 0.904 0.000 x4

Calculated values
Its total energy is -4.9171 eV per atom.

No. 3
Nd2Al9Co3 | GGA-PBE | relaxed

Cell lengths 12.969, 7.612, 9.553 Å; angles 90.00, 90.00, 90.00 degrees
Space group Cmcm (No. 63)
Inequivalent atoms, fractional coordinates:
Nd 0.161 0.167 0.250 x8
Al 0.000 0.128 0.750 x4
Al 0.000 0.334 0.040 x8
Al 0.106 0.444 0.750 x8
Al 0.167 0.168 0.570 x16
Co 0.000 0.000 0.000 x4
Co 0.170 0.500 0.000 x8

Calculated values
Its total energy is -5.1307 eV per atom.

No. 4
NdAlCo4 | GGA-PBE | relaxed

Cell lengths 5.1671, 5.1671, 3.8213 Å; angles 90.00, 90.00, 120.00 degrees
Space group P-6m2 (No. 187)
Inequivalent atoms, fractional coordinates:
Nd 0.0000 0.0000 0.0000 x1
Al 0.3333 0.6667 0.0000 x1
Co 0.5043 0.0085 0.5000 x3
Co 0.6667 0.3333 0.0000 x1

Calculated values
Its total energy is -6.3462 eV per atom.

Please write out number 4 again, unchanged.
NdAlCo4 | GGA-PBE | relaxed

Cell lengths 5.1671, 5.1671, 3.8213 Å; angles 90.00, 90.00, 120.00 degrees
Space group P-6m2 (No. 187)
Inequivalent atoms, fractional coordinates:
Nd 0.0000 0.0000 0.0000 x1
Al 0.3333 0.6667 0.0000 x1
Co 0.5043 0.0085 0.5000 x3
Co 0.6667 0.3333 0.0000 x1

Calculated values
Its total energy is -6.3462 eV per atom.